[1]
A geometry-optimized LiHoTl2 structure. Source: the Materials Project database, functional PBE.

Lattice parameters (Å, degrees): 5.187 5.187 5.187 60.00 60.00 60.00
Positions (direct):
Li 0.000 0.000 0.000
Ho 0.500 0.500 0.500
Tl 0.250 0.250 0.250
Tl 0.750 0.750 0.750

Crystal system: cubic
Formation energy: -30.1 kJ/mol of atoms



[2]
A geometry-optimized Na2Ti2Si3Ge2S3O24 structure. Source: the Materials Project database, functional PBE.

Lattice parameters (Å, degrees): 8.574 8.593 22.200 89.22 89.60 60.12
Positions (direct):
Na 0.000 0.000 0.000
Na 0.009 0.988 0.504
Na 0.333 0.330 0.334
Na 0.344 0.321 0.837
Na 0.668 0.671 0.670
Na 0.686 0.650 0.163
Ti 0.012 0.012 0.860
Ti 0.027 0.979 0.644
Ti 0.331 0.339 0.186
Ti 0.364 0.316 0.688
Ti 0.677 0.682 0.818
Ti 0.704 0.647 0.024
Si 0.013 0.272 0.252
Si 0.063 0.626 0.084
Si 0.303 0.995 0.751
Si 0.357 0.614 0.582
Si 0.623 0.335 0.083
Si 0.631 0.049 0.580
Si 0.672 0.961 0.921
Si 0.971 0.660 0.419
Si 0.975 0.380 0.919
Ge 0.019 0.986 0.354
Ge 0.336 0.353 0.486
Ge 0.347 0.337 0.980
Ge 0.678 0.683 0.525
Ge 0.708 0.639 0.314
Ge 0.994 0.018 0.140
S 0.015 0.705 0.751
S 0.057 0.332 0.583
S 0.307 0.709 0.253
S 0.343 0.043 0.085
S 0.392 0.662 0.919
S 0.394 0.947 0.416
S 0.681 0.374 0.417
S 0.726 0.991 0.253
S 0.728 0.285 0.751
O 0.034 0.175 0.589
O 0.036 0.790 0.805
O 0.043 0.151 0.314
O 0.050 0.819 0.098
O 0.137 0.362 0.636
O 0.144 0.499 0.145
O 0.167 0.297 0.527
O 0.169 0.364 0.927
O 0.171 0.476 0.426
O 0.175 0.528 0.745
O 0.178 0.020 0.809
O 0.178 0.025 0.092
O 0.181 0.814 0.590
O 0.186 0.534 0.025
O 0.189 0.296 0.247
O 0.192 0.781 0.310
O 0.201 0.972 0.692
O 0.209 0.819 0.912
O 0.211 0.963 0.412
O 0.227 0.818 0.200
O 0.300 0.546 0.522
O 0.307 0.154 0.030
O 0.317 0.177 0.744
O 0.330 0.527 0.250
O 0.368 0.124 0.140
O 0.374 0.126 0.421
O 0.378 0.497 0.921
O 0.384 0.493 0.642
O 0.469 0.690 0.973
O 0.469 0.836 0.472
O 0.485 0.698 0.262
O 0.497 0.158 0.926
O 0.499 0.638 0.863
O 0.500 0.815 0.756
O 0.500 0.865 0.081
O 0.505 0.863 0.361
O 0.507 0.131 0.640
O 0.510 0.349 0.145
O 0.517 0.355 0.421
O 0.533 0.172 0.520
O 0.541 0.291 0.025
O 0.541 0.625 0.571
O 0.544 0.303 0.747
O 0.548 0.151 0.249
O 0.636 0.516 0.080
O 0.637 0.872 0.860
O 0.644 0.488 0.361
O 0.651 0.850 0.577
O 0.702 0.828 0.260
O 0.703 0.830 0.978
O 0.708 0.463 0.756
O 0.710 0.454 0.470
O 0.805 0.175 0.806
O 0.808 0.017 0.309
O 0.825 0.032 0.589
O 0.826 0.157 0.089
O 0.829 0.474 0.258
O 0.831 0.200 0.696
O 0.838 0.953 0.199
O 0.840 0.699 0.477
O 0.844 0.193 0.411
O 0.849 0.457 0.978
O 0.851 0.688 0.754
O 0.856 0.968 0.909
O 0.864 0.648 0.081
O 0.876 0.501 0.859
O 0.877 0.496 0.576
O 0.888 0.622 0.358
O 0.978 0.181 0.193
O 0.984 0.815 0.695
O 0.991 0.842 0.409
O 0.995 0.181 0.912

Crystal system: triclinic
MP2020-corrected energy: -794.54 eV for the cell shown
Formation energy: -240.5 kJ/mol of atoms



[3]
A geometry-optimized Hg structure. Source: the Materials Project database, functional PBE.

Lattice parameters (Å, degrees): 10.522 10.522 10.522 109.47 109.47 109.47
Positions (direct):
Hg 0.000 0.000 0.000
Hg 0.000 0.000 0.346
Hg 0.000 0.309 0.588
Hg 0.000 0.346 0.000
Hg 0.000 0.588 0.309
Hg 0.000 0.621 0.807
Hg 0.000 0.807 0.621
Hg 0.186 0.379 0.379
Hg 0.193 0.193 0.814
Hg 0.193 0.814 0.193
Hg 0.279 0.691 0.691
Hg 0.309 0.000 0.588
Hg 0.309 0.588 0.000
Hg 0.346 0.000 0.000
Hg 0.379 0.186 0.379
Hg 0.379 0.379 0.186
Hg 0.412 0.412 0.721
Hg 0.412 0.721 0.412
Hg 0.588 0.000 0.309
Hg 0.588 0.309 0.000
Hg 0.621 0.000 0.807
Hg 0.621 0.807 0.000
Hg 0.654 0.654 0.654
Hg 0.691 0.279 0.691
Hg 0.691 0.691 0.279
Hg 0.721 0.412 0.412
Hg 0.807 0.000 0.621
Hg 0.807 0.621 0.000
Hg 0.814 0.193 0.193

Energy above the most stable polymorph in this dataset: 0.00 eV/f.u.
Maximum piezoelectric response: 0.041 C/m2
Crystal system: cubic
Formation energy: 0.1 kJ/mol of atoms



[4]
A geometry-optimized CsRbAu2 structure. Source: the Materials Project database, functional PBE.

Lattice parameters (Å, degrees): 6.073 6.073 6.073 60.00 60.00 60.00
Positions (direct):
Cs 0.000 0.000 0.000
Rb 0.500 0.500 0.500
Au 0.250 0.250 0.250
Au 0.750 0.750 0.750

Energy above the most stable polymorph in this dataset: 0.00 eV/f.u.
Crystal system: cubic
Formation energy: -27.3 kJ/mol of atoms



[5]
A geometry-optimized BaErCuS3 structure. Source: the Materials Project database, functional PBE.

Lattice parameters (Å, degrees): 7.083 7.083 10.180 90.00 90.00 147.16
Positions (direct):
Ba 0.245 0.755 0.750
Ba 0.755 0.245 0.250
Er 0.500 0.500 0.000
Er 0.500 0.500 0.500
Cu 0.032 0.968 0.250
Cu 0.968 0.032 0.750
S 0.130 0.870 0.062
S 0.130 0.870 0.438
S 0.434 0.566 0.250
S 0.566 0.434 0.750
S 0.870 0.130 0.562
S 0.870 0.130 0.938

Crystal system: orthorhombic
MP2020-corrected energy: -69.49 eV for the cell shown
Formation energy: -189.0 kJ/mol of atoms



[6]
A geometry-optimized Y2TeO6 structure. Source: the Materials Project database, functional PBE.

Lattice parameters (Å, degrees): 7.719 5.453 11.541 90.00 103.92 90.00
Positions (direct):
Y 0.000 0.187 0.250
Y 0.000 0.813 0.750
Y 0.289 0.306 0.923
Y 0.289 0.694 0.423
Y 0.500 0.241 0.250
Y 0.500 0.759 0.750
Y 0.711 0.306 0.577
Y 0.711 0.694 0.077
Te 0.226 0.246 0.615
Te 0.226 0.754 0.115
Te 0.774 0.246 0.885
Te 0.774 0.754 0.385
O 0.008 0.127 0.886
O 0.008 0.873 0.386
O 0.140 0.356 0.451
O 0.140 0.644 0.951
O 0.206 0.479 0.225
O 0.206 0.521 0.725
O 0.293 0.050 0.769
O 0.293 0.950 0.269
O 0.350 0.032 0.068
O 0.350 0.968 0.568
O 0.441 0.449 0.606
O 0.441 0.551 0.106
O 0.559 0.449 0.894
O 0.559 0.551 0.394
O 0.650 0.032 0.432
O 0.650 0.968 0.932
O 0.707 0.050 0.731
O 0.707 0.950 0.231
O 0.794 0.479 0.275
O 0.794 0.521 0.775
O 0.860 0.356 0.049
O 0.860 0.644 0.549
O 0.992 0.127 0.614
O 0.992 0.873 0.114

Crystal system: monoclinic
MP2020-corrected energy: -289.99 eV for the cell shown
Formation energy: -286.6 kJ/mol of atoms



[7]
A geometry-optimized CeSe2 structure. Source: the Materials Project database, functional PBE.

Lattice parameters (Å, degrees): 4.184 4.184 26.132 90.00 90.00 120.00
Positions (direct):
Ce 0.000 0.000 0.000
Ce 0.000 0.000 0.250
Ce 0.000 0.000 0.750
Ce 0.667 0.333 0.500
Se 0.000 0.000 0.437
Se 0.000 0.000 0.563
Se 0.333 0.667 0.063
Se 0.333 0.667 0.308
Se 0.333 0.667 0.692
Se 0.333 0.667 0.937
Se 0.667 0.333 0.191
Se 0.667 0.333 0.809

Crystal system: hexagonal
MP2020-corrected energy: -72.71 eV for the cell shown
Formation energy: -169.0 kJ/mol of atoms



[8]
A geometry-optimized VIn3 structure. Source: the Materials Project database, functional PBE.

Lattice parameters (Å, degrees): 6.176 6.176 5.297 90.00 90.00 120.00
Positions (direct):
V 0.333 0.667 0.250
V 0.667 0.333 0.750
In 0.170 0.340 0.750
In 0.170 0.830 0.750
In 0.340 0.170 0.250
In 0.660 0.830 0.750
In 0.830 0.170 0.250
In 0.830 0.660 0.250

Crystal system: hexagonal
Formation energy: 27.1 kJ/mol of atoms



[9]
A geometry-optimized In4Cu3AgTe8 structure. Source: the Materials Project database, functional PBE.

Lattice parameters (Å, degrees): 6.367 7.759 11.876 77.64 74.45 65.78
Positions (direct):
In 0.000 0.000 0.000
In 0.001 0.503 0.496
In 0.749 0.627 0.875
In 0.752 0.126 0.372
Cu 0.250 0.377 0.124
Cu 0.250 0.876 0.622
Cu 0.500 0.752 0.248
Ag 0.500 0.252 0.748
Te 0.141 0.317 0.946
Te 0.161 0.814 0.435
Te 0.368 0.169 0.569
Te 0.375 0.672 0.079
Te 0.590 0.064 0.185
Te 0.597 0.580 0.682
Te 0.874 0.457 0.293
Te 0.896 0.941 0.796

Crystal system: triclinic
MP2020-corrected energy: -58.95 eV for the cell shown
Formation energy: -46.2 kJ/mol of atoms



[10]
A geometry-optimized OsO4 structure. Source: the Materials Project database, functional PBE.

Lattice parameters (Å, degrees): 5.440 5.440 8.959 113.20 113.20 51.78
Positions (direct):
Os 0.244 0.756 0.750
Os 0.756 0.244 0.250
O 0.078 0.145 0.416
O 0.145 0.078 0.916
O 0.340 0.431 0.805
O 0.431 0.340 0.305
O 0.569 0.660 0.695
O 0.660 0.569 0.195
O 0.855 0.922 0.084
O 0.922 0.855 0.584

Crystal system: monoclinic
MP2020-corrected energy: -77.32 eV for the cell shown
Formation energy: -147.5 kJ/mol of atoms



[11]
A geometry-optimized CaSbF5 structure. Source: the Materials Project database, functional PBE.

Lattice parameters (Å, degrees): 6.154 10.673 8.487 90.00 122.06 90.00
Positions (direct):
Ca 0.017 0.019 0.283
Ca 0.017 0.481 0.783
Ca 0.983 0.519 0.217
Ca 0.983 0.981 0.717
Sb 0.430 0.734 0.656
Sb 0.430 0.766 0.156
Sb 0.570 0.234 0.844
Sb 0.570 0.266 0.344
F 0.144 0.606 0.039
F 0.144 0.894 0.539
F 0.171 0.593 0.636
F 0.171 0.907 0.136
F 0.221 0.697 0.382
F 0.221 0.803 0.882
F 0.349 0.091 0.848
F 0.349 0.409 0.348
F 0.360 0.150 0.426
F 0.360 0.350 0.926
F 0.640 0.650 0.074
F 0.640 0.850 0.574
F 0.651 0.591 0.652
F 0.651 0.909 0.152
F 0.779 0.197 0.118
F 0.779 0.303 0.618
F 0.829 0.093 0.864
F 0.829 0.407 0.364
F 0.856 0.106 0.461
F 0.856 0.394 0.961

Energy above the most stable polymorph in this dataset: 0.00 eV/f.u.
Crystal system: monoclinic
MP2020-corrected energy: -156.17 eV for the cell shown
Formation energy: -321.6 kJ/mol of atoms



[12]
A geometry-optimized UP2O7 structure. Source: the Materials Project database, functional PBE.

Lattice parameters (Å, degrees): 8.838 8.848 8.863 89.82 89.84 89.73
Positions (direct):
U 0.000 0.000 0.000
U 0.000 0.495 0.502
U 0.504 0.487 0.005
U 0.504 0.988 0.494
P 0.101 0.598 0.903
P 0.104 0.095 0.601
P 0.398 0.587 0.403
P 0.399 0.090 0.096
P 0.602 0.885 0.896
P 0.603 0.386 0.606
P 0.897 0.394 0.109
P 0.901 0.892 0.398
O 0.069 0.557 0.738
O 0.071 0.256 0.546
O 0.073 0.767 0.933
O 0.077 0.078 0.770
O 0.228 0.071 0.079
O 0.228 0.569 0.421
O 0.256 0.545 0.955
O 0.261 0.040 0.552
O 0.450 0.063 0.259
O 0.451 0.538 0.246
O 0.452 0.745 0.442
O 0.453 0.242 0.035
O 0.465 0.471 0.525
O 0.469 0.958 0.996
O 0.559 0.915 0.732
O 0.576 0.415 0.775
O 0.585 0.219 0.565
O 0.594 0.717 0.937
O 0.729 0.431 0.103
O 0.734 0.937 0.406
O 0.753 0.452 0.552
O 0.754 0.956 0.938
O 0.926 0.727 0.442
O 0.932 0.236 0.049
O 0.963 0.417 0.266
O 0.972 0.931 0.246
O 0.973 0.515 0.999
O 0.979 0.988 0.528

Energy above the most stable polymorph in this dataset: 0.00 eV/f.u.
Crystal system: triclinic
MP2020-corrected energy: -350.07 eV for the cell shown
Formation energy: -296.8 kJ/mol of atoms